1 | # LiNiBO3 PBE+U optimized geometry
# - crystal system = monoclinic
data_LiNiBO3
_chemical_formula_sum 'Li8 Ni8 B8 O24'
_space_group_name_H-M_alt 'C 1 c 1'
_space_group_IT_number 9
_space_group_name_Hall 'C -2yc'
_cell_length_a 5.2891
_cell_length_b 8.7510
_cell_length_c 10.0042
_cell_angle_alpha 90.00
_cell_angle_beta 91.57
_cell_angle_gamma 90.00
loop_
_atom_site_label
_atom_site_type_symbol
_atom_site_fract_x
_atom_site_fract_y
_atom_site_fract_z
Li1 Li 0.0000 0.0041 0.0000
Li2 Li 0.3148 0.0072 0.2509
Ni1 Ni 0.0023 0.3267 0.4659
Ni2 Ni 0.3085 0.3298 0.2148
B1 B 0.3250 0.3327 0.7115
B2 B 0.4892 0.1701 0.4607
O1 O 0.0686 0.3326 0.6743
O2 O 0.2395 0.3306 0.0071
O3 O 0.3514 0.0373 0.4506
O4 O 0.3764 0.3090 0.4226
O5 O 0.4383 0.1982 0.7575
O6 O 0.4678 0.4631 0.6993

***

2 | # LiNiBO3 PBE+U optimized geometry
# - crystal system = triclinic
data_LiNiBO3
_chemical_formula_sum 'Li4 Ni4 B4 O12'
_space_group_name_H-M_alt 'P -1'
_space_group_IT_number 2
_space_group_name_Hall '-P 1'
_cell_length_a 5.6971
_cell_length_b 5.8251
_cell_length_c 7.4384
_cell_angle_alpha 90.01
_cell_angle_beta 90.02
_cell_angle_gamma 95.95
loop_
_atom_site_label
_atom_site_type_symbol
_atom_site_fract_x
_atom_site_fract_y
_atom_site_fract_z
Li1 Li 0.0837 0.1270 0.1286
Li2 Li 0.4161 0.3723 0.6282
Ni1 Ni 0.2382 0.8971 0.4750
Ni2 Ni 0.2619 0.6029 0.9748
B1 B 0.1283 0.4088 0.3458
B2 B 0.3721 0.0911 0.8458
O1 O 0.0511 0.4728 0.1773
O2 O 0.0821 0.1739 0.3915
O3 O 0.2368 0.9452 0.9584
O4 O 0.2635 0.5551 0.4583
O5 O 0.4180 0.3262 0.8909
O6 O 0.4496 0.0263 0.6776

***

Here is how they stack up, most stable first: 1, 2.

***

1 | # MgFe8O14F2 PBE+U optimized geometry
# - crystal system = triclinic
data_MgFe8O14F2
_chemical_formula_sum 'Mg1 Fe8 O14 F2'
_space_group_name_H-M_alt 'P 1'
_space_group_IT_number 1
_space_group_name_Hall 'P 1'
_cell_length_a 5.1669
_cell_length_b 5.1865
_cell_length_c 11.6344
_cell_angle_alpha 89.35
_cell_angle_beta 89.52
_cell_angle_gamma 77.67
loop_
_atom_site_label
_atom_site_type_symbol
_atom_site_fract_x
_atom_site_fract_y
_atom_site_fract_z
Mg1 Mg 0.0000 0.0000 0.0000
Fe1 Fe 0.1047 0.1175 0.6266
Fe2 Fe 0.1188 0.1181 0.3755
Fe3 Fe 0.2792 0.2777 0.1404
Fe4 Fe 0.2799 0.2960 0.8726
Fe5 Fe 0.6658 0.6677 0.0034
Fe6 Fe 0.6994 0.6992 0.2555
Fe7 Fe 0.7029 0.7077 0.5044
Fe8 Fe 0.7293 0.6758 0.7516
O1 O 0.0130 0.3776 0.0053
O2 O 0.0188 0.3626 0.7544
O3 O 0.3507 0.9731 0.5022
O4 O 0.3762 0.9984 0.2562
O5 O 0.3793 0.0168 0.9999
O6 O 0.5106 0.5154 0.1269
O7 O 0.5199 0.5210 0.8772
O8 O 0.5638 0.5498 0.6377
O9 O 0.8304 0.8340 0.1164
O10 O 0.8462 0.8259 0.8826
O11 O 0.8672 0.8700 0.3784
O12 O 0.8797 0.8663 0.6345
O13 O 0.9729 0.3530 0.4986
O14 O 0.9995 0.3771 0.2567
F1 F 0.4015 0.0054 0.7532
F2 F 0.5292 0.5323 0.3786

***

2 | # MgFe8O14F2 PBE+U optimized geometry
# - crystal system = triclinic
data_MgFe8O14F2
_chemical_formula_sum 'Mg1 Fe8 O14 F2'
_space_group_name_H-M_alt 'P 1'
_space_group_IT_number 1
_space_group_name_Hall 'P 1'
_cell_length_a 4.7933
_cell_length_b 4.8508
_cell_length_c 11.8661
_cell_angle_alpha 91.21
_cell_angle_beta 90.20
_cell_angle_gamma 90.14
loop_
_atom_site_label
_atom_site_type_symbol
_atom_site_fract_x
_atom_site_fract_y
_atom_site_fract_z
Mg1 Mg 0.0000 0.0000 0.0000
Fe1 Fe 0.4514 0.9560 0.5115
Fe2 Fe 0.4766 0.9957 0.7605
Fe3 Fe 0.4811 0.9678 0.2657
Fe4 Fe 0.5202 0.6022 0.0028
Fe5 Fe 0.9513 0.4819 0.1548
Fe6 Fe 0.9788 0.4745 0.3867
Fe7 Fe 0.9829 0.4987 0.6347
Fe8 Fe 0.9916 0.4756 0.8675
O1 O 0.1427 0.6370 0.0186
O2 O 0.1612 0.6591 0.5076
O3 O 0.1708 0.6554 0.2657
O4 O 0.1903 0.6832 0.7592
O5 O 0.2603 0.1880 0.8850
O6 O 0.2812 0.1522 0.3890
O7 O 0.2838 0.1690 0.6297
O8 O 0.6608 0.7846 0.3912
O9 O 0.6653 0.7979 0.6308
O10 O 0.6744 0.7866 0.1352
O11 O 0.7109 0.7929 0.8869
O12 O 0.7603 0.3074 0.0213
O13 O 0.7698 0.2849 0.2662
O14 O 0.7792 0.2969 0.7549
F1 F 0.2312 0.1469 0.1367
F2 F 0.7798 0.2878 0.5082

***

Here is how they stack up, most stable first: 2, 1.

***

1 | # MgFe8O14F2 PBE+U optimized geometry
# - crystal system = triclinic
data_MgFe8O14F2
_chemical_formula_sum 'Mg1 Fe8 O14 F2'
_space_group_name_H-M_alt 'P 1'
_space_group_IT_number 1
_space_group_name_Hall 'P 1'
_cell_length_a 4.5295
_cell_length_b 4.5780
_cell_length_c 13.4743
_cell_angle_alpha 95.35
_cell_angle_beta 93.11
_cell_angle_gamma 90.19
loop_
_atom_site_label
_atom_site_type_symbol
_atom_site_fract_x
_atom_site_fract_y
_atom_site_fract_z
Mg1 Mg 0.0000 0.0000 0.0000
Fe1 Fe 0.2071 0.7639 0.2682
Fe2 Fe 0.2351 0.7999 0.5011
Fe3 Fe 0.2589 0.8765 0.7269
Fe4 Fe 0.4252 0.5764 0.0197
Fe5 Fe 0.6547 0.1631 0.1675
Fe6 Fe 0.7174 0.2756 0.3979
Fe7 Fe 0.7447 0.3298 0.6178
Fe8 Fe 0.8623 0.3648 0.8367
O1 O 0.0110 0.9545 0.1521
O2 O 0.0208 0.9686 0.3893
O3 O 0.0514 0.0257 0.6122
O4 O 0.0849 0.0230 0.8525
O5 O 0.4145 0.5812 0.3895
O6 O 0.4385 0.5291 0.1557
O7 O 0.4487 0.6431 0.6177
O8 O 0.5151 0.0563 0.2866
O9 O 0.5206 0.0207 0.0271
O10 O 0.5313 0.1107 0.5077
O11 O 0.5816 0.1552 0.7345
O12 O 0.9302 0.4975 0.5044
O13 O 0.9840 0.5484 0.7267
O14 O 0.9974 0.5056 0.9821
F1 F 0.4954 0.5753 0.8765
F2 F 0.9119 0.4446 0.2729

***

2 | # MgFe8O14F2 PBE+U optimized geometry
# - crystal system = triclinic
data_MgFe8O14F2
_chemical_formula_sum 'Mg1 Fe8 O14 F2'
_space_group_name_H-M_alt 'P 1'
_space_group_IT_number 1
_space_group_name_Hall 'P 1'
_cell_length_a 5.8179
_cell_length_b 7.2820
_cell_length_c 7.6543
_cell_angle_alpha 85.67
_cell_angle_beta 68.91
_cell_angle_gamma 69.54
loop_
_atom_site_label
_atom_site_type_symbol
_atom_site_fract_x
_atom_site_fract_y
_atom_site_fract_z
Mg1 Mg 0.0000 0.0000 0.0000
Fe1 Fe 0.2839 0.7351 0.7131
Fe2 Fe 0.2878 0.2336 0.7023
Fe3 Fe 0.4874 0.4909 0.9805
Fe4 Fe 0.5447 0.9870 0.9529
Fe5 Fe 0.6508 0.2918 0.2692
Fe6 Fe 0.6696 0.7611 0.2669
Fe7 Fe 0.9706 0.4989 0.4719
Fe8 Fe 0.9721 0.0042 0.4998
O1 O 0.0748 0.2321 0.5512
O2 O 0.1654 0.6897 0.9696
O3 O 0.3197 0.4501 0.2594
O4 O 0.3285 0.8208 0.4698
O5 O 0.3443 0.9736 0.8034
O6 O 0.4105 0.2623 0.9061
O7 O 0.5726 0.7321 0.0564
O8 O 0.6143 0.5604 0.7042
O9 O 0.6260 0.1804 0.5069
O10 O 0.6393 0.0172 0.1699
O11 O 0.7824 0.4920 0.3085
O12 O 0.8081 0.3039 0.9983
O13 O 0.8711 0.7769 0.4163
O14 O 0.9122 0.9272 0.7692
F1 F 0.0757 0.0658 0.2149
F2 F 0.1516 0.5223 0.6592

***

3 | # MgFe8O14F2 PBE+U optimized geometry
# - crystal system = triclinic
data_MgFe8O14F2
_chemical_formula_sum 'Mg1 Fe8 O14 F2'
_space_group_name_H-M_alt 'P 1'
_space_group_IT_number 1
_space_group_name_Hall 'P 1'
_cell_length_a 5.1732
_cell_length_b 5.1748
_cell_length_c 11.6046
_cell_angle_alpha 89.35
_cell_angle_beta 89.40
_cell_angle_gamma 77.91
loop_
_atom_site_label
_atom_site_type_symbol
_atom_site_fract_x
_atom_site_fract_y
_atom_site_fract_z
Mg1 Mg 0.0000 0.0000 0.0000
Fe1 Fe 0.1182 0.0995 0.6233
Fe2 Fe 0.2735 0.2757 0.3877
Fe3 Fe 0.2797 0.2848 0.1375
Fe4 Fe 0.2905 0.2818 0.8711
Fe5 Fe 0.6682 0.6696 0.0048
Fe6 Fe 0.6700 0.7273 0.7529
Fe7 Fe 0.6933 0.6955 0.2586
Fe8 Fe 0.6960 0.6897 0.5076
O1 O 0.0122 0.3834 0.5074
O2 O 0.0146 0.3790 0.0020
O3 O 0.0426 0.4246 0.2629
O4 O 0.3573 0.0163 0.7555
O5 O 0.3775 0.0168 0.0065
O6 O 0.3892 0.0105 0.5031
O7 O 0.4240 0.0466 0.2627
O8 O 0.5142 0.5224 0.8806
O9 O 0.5179 0.5191 0.1285
O10 O 0.5258 0.5253 0.3835
O11 O 0.5334 0.5619 0.6423
O12 O 0.8257 0.8441 0.8832
O13 O 0.8342 0.8309 0.1176
O14 O 0.8661 0.8757 0.6340
F1 F 0.8667 0.8634 0.3838
F2 F 0.9920 0.3921 0.7557

***

Here is how they stack up, most stable first: 2, 3, 1.